{"formula": "Sm2Zr2O7", "functional": "PBE", "state": "relaxed", "lattice": [[0.000, 5.360, 5.360], [5.360, 0.000, 5.360], [5.360, 5.360, 0.000]], "species": ["Sm", "Sm", "Sm", "Sm", "Zr", "Zr", "Zr", "Zr", "O", "O", "O", "O", "O", "O", "O", "O", "O", "O", "O", "O", "O", "O"], "fractional_positions": [[0.000, 0.000, 0.000], [0.000, 0.000, 0.500], [0.000, 0.500, 0.000], [0.500, 0.000, 0.000], [0.000, 0.500, 0.500], [0.500, 0.000, 0.500], [0.500, 0.500, 0.000], [0.500, 0.500, 0.500], [0.125, 0.125, 0.125], [0.162, 0.162, 0.588], [0.162, 0.588, 0.162], [0.162, 0.588, 0.588], [0.412, 0.412, 0.838], [0.412, 0.838, 0.412], [0.412, 0.838, 0.838], [0.588, 0.162, 0.162], [0.588, 0.162, 0.588], [0.588, 0.588, 0.162], [0.838, 0.412, 0.412], [0.838, 0.412, 0.838], [0.838, 0.838, 0.412], [0.875, 0.875, 0.875]], "space_group": "Fd-3m, No. 227"}

{"formula": "Sm4ZrO8", "functional": "PBE", "state": "relaxed", "lattice": [[-1.889, 1.937, 13.942], [1.889, -1.937, 13.942], [1.889, 1.937, -13.942]], "species": ["Sm", "Sm", "Sm", "Sm", "Zr", "O", "O", "O", "O", "O", "O", "O", "O"], "fractional_positions": [[0.090, 0.090, 0.000], [0.296, 0.296, 0.000], [0.704, 0.704, 0.000], [0.910, 0.910, 0.000], [0.500, 0.500, 0.000], [0.046, 0.546, 0.500], [0.241, 0.741, 0.500], [0.352, 0.852, 0.500], [0.455, 0.955, 0.500], [0.545, 0.045, 0.500], [0.648, 0.148, 0.500], [0.759, 0.259, 0.500], [0.954, 0.454, 0.500]], "space_group": "Immm, No. 71"}

{"formula": "Sm2Zr2O7", "functional": "PBE", "state": "relaxed", "lattice": [[7.984, 0.000, 0.000], [0.000, 5.639, 0.000], [-2.044, 0.000, 13.773]], "species": ["Sm", "Sm", "Sm", "Sm", "Sm", "Sm", "Sm", "Sm", "Zr", "Zr", "Zr", "Zr", "Zr", "Zr", "Zr", "Zr", "O", "O", "O", "O", "O", "O", "O", "O", "O", "O", "O", "O", "O", "O", "O", "O", "O", "O", "O", "O", "O", "O", "O", "O", "O", "O", "O", "O"], "fractional_positions": [[0.139, 0.000, 0.062], [0.235, 0.441, 0.422], [0.285, 0.912, 0.631], [0.358, 0.426, 0.896], [0.642, 0.926, 0.104], [0.715, 0.412, 0.369], [0.765, 0.941, 0.578], [0.861, 0.500, 0.938], [0.029, 0.430, 0.618], [0.075, 0.933, 0.819], [0.412, 0.445, 0.175], [0.469, 0.931, 0.377], [0.531, 0.431, 0.623], [0.588, 0.945, 0.825], [0.925, 0.433, 0.181], [0.971, 0.930, 0.382], [0.005, 0.092, 0.675], [0.068, 0.712, 0.520], [0.080, 0.217, 0.915], [0.135, 0.634, 0.729], [0.143, 0.713, 0.933], [0.172, 0.314, 0.183], [0.222, 0.035, 0.387], [0.272, 0.312, 0.585], [0.324, 0.059, 0.800], [0.369, 0.768, 0.119], [0.415, 0.241, 0.050], [0.421, 0.588, 0.326], [0.444, 0.708, 0.522], [0.478, 0.640, 0.732], [0.522, 0.140, 0.268], [0.556, 0.208, 0.478], [0.579, 0.088, 0.674], [0.585, 0.741, 0.950], [0.631, 0.268, 0.881], [0.676, 0.559, 0.200], [0.728, 0.812, 0.415], [0.778, 0.535, 0.613], [0.828, 0.814, 0.817], [0.857, 0.213, 0.067], [0.865, 0.134, 0.271], [0.920, 0.717, 0.085], [0.932, 0.212, 0.480], [0.995, 0.592, 0.325]], "space_group": "P2_1, No. 4"}

{"formula": "Sm2Zr2O7", "functional": "PBE", "state": "relaxed", "lattice": [[6.598, -3.791, 0.000], [6.598, 3.791, 0.000], [-4.543, 0.000, 24.624]], "species": ["Sm", "Sm", "Sm", "Sm", "Sm", "Sm", "Sm", "Sm", "Sm", "Sm", "Sm", "Sm", "Sm", "Sm", "Sm", "Sm", "Zr", "Zr", "Zr", "Zr", "Zr", "Zr", "Zr", "Zr", "Zr", "Zr", "Zr", "Zr", "Zr", "Zr", "Zr", "Zr", "O", "O", "O", "O", "O", "O", "O", "O", "O", "O", "O", "O", "O", "O", "O", "O", "O", "O", "O", "O", "O", "O", "O", "O", "O", "O", "O", "O", "O", "O", "O", "O", "O", "O", "O", "O", "O", "O", "O", "O", "O", "O", "O", "O", "O", "O", "O", "O", "O", "O", "O", "O", "O", "O", "O", "O"], "fractional_positions": [[0.000, 0.000, 0.000], [0.126, 0.126, 0.877], [0.126, 0.625, 0.875], [0.130, 0.639, 0.374], [0.138, 0.138, 0.386], [0.245, 0.245, 0.751], [0.361, 0.870, 0.626], [0.375, 0.874, 0.125], [0.500, 0.500, 0.500], [0.625, 0.126, 0.875], [0.639, 0.130, 0.374], [0.755, 0.755, 0.249], [0.862, 0.862, 0.614], [0.870, 0.361, 0.626], [0.874, 0.375, 0.125], [0.874, 0.874, 0.123], [0.000, 0.000, 0.500], [0.000, 0.500, 0.000], [0.000, 0.500, 0.500], [0.244, 0.750, 0.749], [0.250, 0.756, 0.251], [0.253, 0.253, 0.253], [0.376, 0.376, 0.126], [0.378, 0.378, 0.634], [0.500, 0.000, 0.000], [0.500, 0.000, 0.500], [0.500, 0.500, 0.000], [0.622, 0.622, 0.366], [0.624, 0.624, 0.874], [0.747, 0.747, 0.747], [0.750, 0.244, 0.749], [0.756, 0.250, 0.251], [0.018, 0.018, 0.584], [0.032, 0.032, 0.094], [0.061, 0.643, 0.770], [0.063, 0.063, 0.771], [0.080, 0.504, 0.085], [0.109, 0.499, 0.584], [0.130, 0.670, 0.481], [0.140, 0.569, 0.271], [0.183, 0.737, 0.664], [0.184, 0.184, 0.978], [0.184, 0.609, 0.978], [0.222, 0.222, 0.660], [0.246, 0.246, 0.470], [0.250, 0.250, 0.168], [0.251, 0.673, 0.166], [0.263, 0.817, 0.336], [0.272, 0.272, 0.340], [0.281, 0.281, 0.845], [0.327, 0.749, 0.834], [0.330, 0.870, 0.519], [0.357, 0.939, 0.230], [0.391, 0.816, 0.022], [0.429, 0.429, 0.725], [0.431, 0.860, 0.729], [0.489, 0.489, 0.405], [0.496, 0.920, 0.915], [0.497, 0.497, 0.916], [0.499, 0.109, 0.584], [0.501, 0.891, 0.416], [0.503, 0.503, 0.084], [0.504, 0.080, 0.085], [0.511, 0.511, 0.595], [0.569, 0.140, 0.271], [0.571, 0.571, 0.275], [0.609, 0.184, 0.978], [0.643, 0.061, 0.770], [0.670, 0.130, 0.481], [0.673, 0.251, 0.166], [0.719, 0.719, 0.155], [0.728, 0.728, 0.660], [0.737, 0.183, 0.664], [0.749, 0.327, 0.834], [0.750, 0.750, 0.832], [0.754, 0.754, 0.530], [0.778, 0.778, 0.340], [0.816, 0.391, 0.022], [0.816, 0.816, 0.022], [0.817, 0.263, 0.336], [0.860, 0.431, 0.729], [0.870, 0.330, 0.519], [0.891, 0.501, 0.416], [0.920, 0.496, 0.915], [0.937, 0.937, 0.229], [0.939, 0.357, 0.230], [0.968, 0.968, 0.906], [0.982, 0.982, 0.416]], "space_group": "C2/m, No. 12"}

{"formula": "Sm2Zr8O19", "functional": "PBE", "state": "relaxed", "lattice": [[3.663, 0.000, 0.000], [0.000, 3.663, 0.000], [0.000, 0.000, 25.941]], "species": ["Sm", "Sm", "Zr", "Zr", "Zr", "Zr", "Zr", "Zr", "Zr", "Zr", "O", "O", "O", "O", "O", "O", "O", "O", "O", "O", "O", "O", "O", "O", "O", "O", "O", "O", "O"], "fractional_positions": [[0.000, 0.500, 0.058], [0.500, 0.000, 0.942], [0.000, 0.500, 0.254], [0.000, 0.500, 0.451], [0.000, 0.500, 0.648], [0.000, 0.500, 0.845], [0.500, 0.000, 0.155], [0.500, 0.000, 0.352], [0.500, 0.000, 0.549], [0.500, 0.000, 0.746], [0.000, 0.000, 0.000], [0.000, 0.000, 0.112], [0.000, 0.000, 0.210], [0.000, 0.000, 0.307], [0.000, 0.000, 0.404], [0.000, 0.000, 0.500], [0.000, 0.000, 0.596], [0.000, 0.000, 0.693], [0.000, 0.000, 0.790], [0.000, 0.000, 0.888], [0.500, 0.500, 0.101], [0.500, 0.500, 0.199], [0.500, 0.500, 0.299], [0.500, 0.500, 0.399], [0.500, 0.500, 0.500], [0.500, 0.500, 0.601], [0.500, 0.500, 0.701], [0.500, 0.500, 0.801], [0.500, 0.500, 0.899]], "relative_energy_mev_per_atom": 0, "space_group": "P-4m2, No. 115"}

{"formula": "Sm2Zr2O7", "functional": "PBE", "state": "relaxed", "lattice": [[7.618, 0.000, 0.000], [0.000, 3.655, 0.000], [0.000, 0.000, 10.871]], "species": ["Sm", "Sm", "Sm", "Sm", "Zr", "Zr", "Zr", "Zr", "O", "O", "O", "O", "O", "O", "O", "O", "O", "O", "O", "O", "O", "O"], "fractional_positions": [[0.000, 0.000, 0.000], [0.250, 0.500, 0.277], [0.500, 0.000, 0.000], [0.750, 0.500, 0.723], [0.000, 0.000, 0.500], [0.250, 0.500, 0.741], [0.500, 0.000, 0.500], [0.750, 0.500, 0.259], [0.023, 0.500, 0.616], [0.040, 0.500, 0.132], [0.250, 0.000, 0.396], [0.250, 0.000, 0.633], [0.250, 0.000, 0.873], [0.460, 0.500, 0.132], [0.477, 0.500, 0.616], [0.523, 0.500, 0.384], [0.540, 0.500, 0.868], [0.750, 0.000, 0.127], [0.750, 0.000, 0.367], [0.750, 0.000, 0.604], [0.960, 0.500, 0.868], [0.977, 0.500, 0.384]], "space_group": "Pmma, No. 51"}

{"formula": "SnO", "functional": "PBE", "state": "relaxed", "lattice": [[12.064, 0.000, 0.000], [-0.908, 12.182, 0.000], [-0.342, -1.429, 12.156]], "species": ["Sn", "Sn", "Sn", "Sn", "Sn", "Sn", "Sn", "Sn", "Sn", "Sn", "Sn", "Sn", "Sn", "Sn", "Sn", "Sn", "Sn", "Sn", "Sn", "Sn", "Sn", "Sn", "Sn", "Sn", "Sn", "Sn", "Sn", "Sn", "Sn", "Sn", "Sn", "Sn", "Sn", "Sn", "Sn", "Sn", "Sn", "Sn", "Sn", "Sn", "O", "O", "O", "O", "O", "O", "O", "O", "O", "O", "O", "O", "O", "O", "O", "O", "O", "O", "O", "O", "O", "O", "O", "O", "O", "O", "O", "O", "O", "O", "O", "O", "O", "O", "O", "O", "O", "O", "O", "O"], "fractional_positions": [[0.000, 0.000, 0.000], [0.002, 0.564, 0.385], [0.093, 0.636, 0.137], [0.097, 0.355, 0.154], [0.121, 0.233, 0.745], [0.128, 0.966, 0.726], [0.183, 0.040, 0.263], [0.236, 0.538, 0.784], [0.242, 0.169, 0.999], [0.256, 0.441, 0.506], [0.279, 0.804, 0.011], [0.300, 0.689, 0.324], [0.318, 0.178, 0.472], [0.333, 0.765, 0.612], [0.417, 0.317, 0.756], [0.463, 0.424, 0.324], [0.467, 0.126, 0.246], [0.493, 0.736, 0.858], [0.514, 0.018, 0.827], [0.521, 0.224, 0.001], [0.543, 0.566, 0.591], [0.551, 0.609, 0.097], [0.571, 0.879, 0.152], [0.586, 0.215, 0.582], [0.613, 0.936, 0.566], [0.630, 0.696, 0.377], [0.645, 0.480, 0.856], [0.735, 0.132, 0.200], [0.742, 0.938, 0.918], [0.781, 0.127, 0.438], [0.784, 0.513, 0.232], [0.794, 0.533, 0.553], [0.818, 0.148, 0.762], [0.827, 0.694, 0.015], [0.844, 0.331, 0.004], [0.859, 0.861, 0.344], [0.934, 0.981, 0.581], [0.937, 0.456, 0.768], [0.982, 0.711, 0.703], [0.992, 0.305, 0.497], [0.009, 0.345, 0.005], [0.070, 0.583, 0.765], [0.090, 0.447, 0.439], [0.114, 0.335, 0.623], [0.116, 0.670, 0.322], [0.142, 0.011, 0.897], [0.159, 0.141, 0.401], [0.180, 0.500, 0.133], [0.197, 0.821, 0.688], [0.213, 0.102, 0.677], [0.266, 0.719, 0.155], [0.277, 0.589, 0.626], [0.323, 0.681, 0.876], [0.328, 0.521, 0.371], [0.345, 0.037, 0.325], [0.372, 0.230, 0.906], [0.384, 0.128, 0.091], [0.392, 0.260, 0.330], [0.448, 0.863, 0.765], [0.459, 0.826, 0.014], [0.516, 0.423, 0.487], [0.524, 0.478, 0.733], [0.527, 0.714, 0.235], [0.563, 0.080, 0.687], [0.564, 0.325, 0.864], [0.608, 0.071, 0.467], [0.668, 0.744, 0.066], [0.702, 0.859, 0.414], [0.709, 0.995, 0.082], [0.778, 0.994, 0.656], [0.783, 0.684, 0.291], [0.840, 0.477, 0.386], [0.842, 0.226, 0.124], [0.845, 0.593, 0.734], [0.873, 0.844, 0.960], [0.876, 0.050, 0.888], [0.890, 0.409, 0.599], [0.942, 0.642, 0.529], [0.957, 0.520, 0.217], [0.961, 0.147, 0.668]], "space_group": "P1, No. 1"}

{"formula": "SnO", "functional": "PBE", "state": "relaxed", "lattice": [[3.355, 0.000, 0.000], [0.000, 5.674, 0.000], [0.000, 0.000, 4.222]], "species": ["Sn", "Sn", "O", "O"], "fractional_positions": [[0.000, 0.232, 0.000], [0.500, 0.768, 0.500], [0.000, 0.891, 0.224], [0.500, 0.109, 0.724]], "e_ij_max_c_m2": 0.60, "space_group": "Pmn2_1, No. 31"}

These records have volume values of 14.00, 15.70, 14.09, 14.00, 12.00, 13.76, 22.33, 20.09 Å³/atom, in the order they appear.
These records have energy of formation values of -3856, -3682, -3834, -3840, -3716, -3666, -1405, -1558 meV/atom, in the order they appear.